Entry from Materials Project: a geometry-optimized FeBiO3 structure (PBE+U).

a = 17.887 Å, b = 7.945 Å, c = 5.612 Å
α = 90.00°, β = 107.95°, γ = 90.00°
Space group C2/m (No. 12)
Unique sites:
Fe 0.083 0.247 0.342 [8 per cell]
Fe 0.250 0.250 0.000 [4 per cell]
Bi 0.083 0.000 0.881 [4 per cell]
Bi 0.085 0.500 0.875 [4 per cell]
Bi 0.249 0.500 0.530 [4 per cell]
O 0.000 0.180 0.000 [4 per cell]
O 0.000 0.213 0.500 [4 per cell]
O 0.057 0.500 0.246 [4 per cell]
O 0.116 0.000 0.311 [4 per cell]
O 0.152 0.290 0.096 [8 per cell]
O 0.182 0.269 0.628 [8 per cell]
O 0.231 0.000 0.044 [4 per cell]

Properties
Formation energy = -1.618 eV/atom

***

Entry from Materials Project: a geometry-optimized Li9Mn2Co5O16 structure (PBE+U).

a = 2.964 Å, b = 7.807 Å, c = 12.574 Å
α = 89.42°, β = 89.93°, γ = 80.80°
Space group P-1 (No. 2)
Unique sites:
Li 0.000 0.000 0.000 [1 per cell]
Li 0.065 0.875 0.686 [2 per cell]
Li 0.161 0.642 0.062 [2 per cell]
Li 0.314 0.376 0.437 [2 per cell]
Li 0.432 0.126 0.822 [2 per cell]
Mn 0.391 0.245 0.122 [2 per cell]
Co 0.118 0.750 0.374 [2 per cell]
Co 0.247 0.501 0.748 [2 per cell]
Co 0.500 0.000 0.500 [1 per cell]
O 0.042 0.913 0.847 [2 per cell]
O 0.082 0.815 0.523 [2 per cell]
O 0.115 0.681 0.225 [2 per cell]
O 0.186 0.582 0.895 [2 per cell]
O 0.300 0.431 0.603 [2 per cell]
O 0.378 0.323 0.273 [2 per cell]
O 0.407 0.198 0.979 [2 per cell]
O 0.470 0.065 0.649 [2 per cell]

Properties
Formation energy = -1.836 eV/atom
E above lowest polymorph = 28 meV/atom

***

Entry from Materials Project: a geometry-optimized MgMn2Cu2O8 structure (PBE+U).

a = 6.424 Å, b = 8.280 Å, c = 11.899 Å
α = 90.00°, β = 90.17°, γ = 90.00°
Space group P2_1/c (No. 14)
Unique sites:
Mg 0.113 0.165 0.049 [4 per cell]
Mn 0.099 0.038 0.345 [4 per cell]
Mn 0.388 0.590 0.368 [4 per cell]
Cu 0.236 0.676 0.635 [4 per cell]
Cu 0.387 0.056 0.634 [4 per cell]
O 0.034 0.229 0.394 [4 per cell]
O 0.087 0.104 0.617 [4 per cell]
O 0.123 0.035 0.201 [4 per cell]
O 0.189 0.574 0.470 [4 per cell]
O 0.320 0.631 0.229 [4 per cell]
O 0.329 0.513 0.907 [4 per cell]
O 0.419 0.218 0.086 [4 per cell]
O 0.487 0.101 0.860 [4 per cell]

Properties
Formation energy = -1.448 eV/atom

***

Entry from Materials Project: a geometry-optimized ZnCoF5 structure (PBE+U).

a = 5.224 Å, b = 5.386 Å, c = 7.314 Å
α = 109.53°, β = 96.21°, γ = 108.06°
Space group P-1 (No. 2)
Unique sites:
Zn 0.033 0.261 0.233 [2 per cell]
Co 0.500 0.000 0.500 [1 per cell]
Co 0.500 0.500 0.000 [1 per cell]
F 0.162 0.787 0.556 [2 per cell]
F 0.211 0.149 0.968 [2 per cell]
F 0.232 0.592 0.880 [2 per cell]
F 0.311 0.136 0.355 [2 per cell]
F 0.384 0.629 0.258 [2 per cell]

Properties
Formation energy = -2.230 eV/atom
E above lowest polymorph = 0 meV/atom

***

Entry from Materials Project: a geometry-optimized Mn2O3 structure (PBE+U).

a = 5.115 Å, b = 5.204 Å, c = 5.398 Å
α = 67.83°, β = 61.78°, γ = 60.68°
Space group P-1 (No. 2)
Unique sites:
Mn 0.151 0.149 0.047 [2 per cell]
Mn 0.347 0.351 0.452 [2 per cell]
O 0.022 0.750 0.251 [2 per cell]
O 0.257 0.576 0.730 [2 per cell]
O 0.438 0.076 0.229 [2 per cell]

Properties
Formation energy = -1.955 eV/atom

***

Entry from Materials Project: a geometry-optimized MgV4FeNiO12 structure (PBE+U).

a = 11.046 Å, b = 8.799 Å, c = 5.528 Å
α = 90.00°, β = 114.33°, γ = 90.00°
Space group C2 (No. 5)
Unique sites:
Mg 0.000 0.000 0.000 [2 per cell]
V 0.215 0.681 0.998 [4 per cell]
V 0.225 0.889 0.535 [4 per cell]
Fe 0.000 0.373 0.000 [2 per cell]
Ni 0.000 0.196 0.500 [2 per cell]
O 0.106 0.034 0.405 [4 per cell]
O 0.106 0.358 0.406 [4 per cell]
O 0.112 0.184 0.904 [4 per cell]
O 0.151 0.722 0.662 [4 per cell]
O 0.153 0.817 0.150 [4 per cell]
O 0.181 0.498 0.080 [4 per cell]

Properties
Formation energy = -2.224 eV/atom
E above lowest polymorph = 0 meV/atom

***

Entry from Materials Project: a geometry-optimized LiMn3Al2H6O12 structure (PBE+U).

a = 5.996 Å, b = 7.850 Å, c = 10.522 Å
α = 105.51°, β = 106.13°, γ = 101.20°
Space group P-1 (No. 2)
Unique sites:
Li 0.080 0.344 0.499 [2 per cell]
Mn 0.000 0.000 0.000 [1 per cell]
Mn 0.174 0.668 0.004 [2 per cell]
Mn 0.329 0.331 0.999 [2 per cell]
Mn 0.500 0.000 0.000 [1 per cell]
Al 0.243 0.999 0.499 [2 per cell]
Al 0.413 0.662 0.503 [2 per cell]
H 0.085 0.694 0.297 [2 per cell]
H 0.104 0.993 0.709 [2 per cell]
H 0.250 0.361 0.291 [2 per cell]
H 0.290 0.657 0.710 [2 per cell]
H 0.409 0.013 0.292 [2 per cell]
H 0.436 0.306 0.699 [2 per cell]
O 0.042 0.961 0.606 [2 per cell]
O 0.049 0.399 0.897 [2 per cell]
O 0.108 0.268 0.101 [2 per cell]
O 0.157 0.743 0.400 [2 per cell]
O 0.216 0.061 0.898 [2 per cell]
O 0.226 0.617 0.607 [2 per cell]
O 0.311 0.927 0.110 [2 per cell]
O 0.319 0.407 0.395 [2 per cell]
O 0.383 0.254 0.596 [2 per cell]
O 0.390 0.733 0.901 [2 per cell]
O 0.450 0.598 0.104 [2 per cell]
O 0.464 0.063 0.397 [2 per cell]

Properties
Formation energy = -2.027 eV/atom
E above lowest polymorph = 23 meV/atom

***

Entry from Materials Project: a geometry-optimized TaMnZn2O6 structure (PBE+U).

a = 5.280 Å, b = 7.592 Å, c = 5.482 Å
α = 90.00°, β = 95.84°, γ = 90.00°
Space group P2_1/m (No. 11)
Unique sites:
Ta 0.000 0.000 0.000 [2 per cell]
Mn 0.500 0.000 0.500 [2 per cell]
Zn 0.016 0.250 0.532 [2 per cell]
Zn 0.499 0.750 0.946 [2 per cell]
O 0.134 0.750 0.043 [2 per cell]
O 0.177 0.061 0.327 [4 per cell]
O 0.299 0.072 0.835 [4 per cell]
O 0.373 0.750 0.573 [2 per cell]

Properties
Formation energy = -2.292 eV/atom

***

Entry from Materials Project: a geometry-optimized RbV2SbO8 structure (PBE+U).

a = 15.017 Å, b = 5.657 Å, c = 8.830 Å
α = 90.00°, β = 90.00°, γ = 90.00°
Space group Pnma (No. 62)
Unique sites:
Rb 0.114 0.250 0.048 [4 per cell]
V 0.025 0.750 0.297 [4 per cell]
V 0.217 0.250 0.490 [4 per cell]
Sb 0.122 0.750 0.681 [4 per cell]
O 0.040 0.503 0.764 [8 per cell]
O 0.051 0.750 0.489 [4 per cell]
O 0.114 0.750 0.191 [4 per cell]
O 0.133 0.250 0.373 [4 per cell]
O 0.181 0.750 0.884 [4 per cell]
O 0.208 0.509 0.606 [8 per cell]

Properties
Formation energy = -2.243 eV/atom

***

Entry from Materials Project: a geometry-optimized FeSi2O6 structure (PBE+U).

a = 9.746 Å, b = 8.779 Å, c = 5.363 Å
α = 90.00°, β = 109.16°, γ = 90.00°
Space group C2/c (No. 15)
Unique sites:
Fe 0.000 0.101 0.250 [4 per cell]
Si 0.204 0.414 0.259 [8 per cell]
O 0.116 0.073 0.635 [8 per cell]
O 0.144 0.240 0.218 [8 per cell]
O 0.144 0.499 0.972 [8 per cell]

Properties
Formation energy = -2.512 eV/atom
E above lowest polymorph = 56 meV/atom

***

Entry from Materials Project: a geometry-optimized Li2CoNi3O8 structure (PBE+U).

a = 8.046 Å, b = 8.046 Å, c = 8.164 Å
α = 90.00°, β = 90.00°, γ = 90.00°
Space group P4_32_12 (No. 96)
Unique sites:
Li 0.001 0.248 0.374 [8 per cell]
Co 0.127 0.127 0.000 [4 per cell]
Ni 0.122 0.623 0.503 [8 per cell]
Ni 0.126 0.874 0.250 [4 per cell]
O 0.107 0.856 0.499 [8 per cell]
O 0.110 0.144 0.766 [8 per cell]
O 0.110 0.366 0.985 [8 per cell]
O 0.111 0.637 0.271 [8 per cell]

Properties
Formation energy = -1.077 eV/atom
E above lowest polymorph = 216 meV/atom